[1]
The following is a DFT calculation (PBE-GGA) of an optimized crystal structure of DyBC.

a b c (Å): 3.390 19.077 3.527
angles (deg): 90.00 90.00 90.00
Element x y z (fractional)
Dy 0.000 0.156 0.000
Dy 0.000 0.844 0.000
Dy 0.500 0.344 0.000
Dy 0.500 0.656 0.000
B 0.000 0.277 0.500
B 0.000 0.723 0.500
B 0.500 0.223 0.500
B 0.500 0.777 0.500
C 0.000 0.355 0.500
C 0.000 0.645 0.500
C 0.500 0.145 0.500
C 0.500 0.855 0.500

Formation enthalpy at 0 K in meV/atom: -34
Total moment in μB per formula unit: 0.0
V in Å³ per atom: 19.0
Space group: Cmmm (65)

=====

[2]
The following is a DFT calculation (PBE-GGA) of an optimized crystal structure of Dy4Fe28BC.

a b c (Å): 8.734 8.734 11.859
angles (deg): 90.00 90.00 90.03
Element x y z (fractional)
Dy 0.144 0.856 0.000
Dy 0.233 0.767 0.500
Dy 0.262 0.262 0.000
Dy 0.357 0.357 0.500
Dy 0.643 0.643 0.500
Dy 0.738 0.738 0.000
Dy 0.767 0.233 0.500
Dy 0.856 0.144 0.000
Fe 0.000 0.000 0.384
Fe 0.000 0.000 0.616
Fe 0.000 0.500 0.000
Fe 0.000 0.500 0.500
Fe 0.037 0.359 0.174
Fe 0.037 0.359 0.826
Fe 0.066 0.276 0.373
Fe 0.066 0.276 0.627
Fe 0.097 0.097 0.200
Fe 0.097 0.097 0.800
Fe 0.142 0.537 0.324
Fe 0.142 0.537 0.676
Fe 0.184 0.816 0.253
Fe 0.184 0.816 0.747
Fe 0.226 0.566 0.121
Fe 0.226 0.566 0.879
Fe 0.276 0.066 0.373
Fe 0.276 0.066 0.627
Fe 0.317 0.317 0.245
Fe 0.317 0.317 0.755
Fe 0.359 0.037 0.174
Fe 0.359 0.037 0.826
Fe 0.403 0.597 0.296
Fe 0.403 0.597 0.704
Fe 0.434 0.774 0.121
Fe 0.434 0.774 0.879
Fe 0.463 0.858 0.324
Fe 0.463 0.858 0.676
Fe 0.500 0.000 0.000
Fe 0.500 0.000 0.500
Fe 0.500 0.500 0.108
Fe 0.500 0.500 0.892
Fe 0.537 0.142 0.324
Fe 0.537 0.142 0.676
Fe 0.566 0.226 0.121
Fe 0.566 0.226 0.879
Fe 0.597 0.403 0.296
Fe 0.597 0.403 0.704
Fe 0.641 0.963 0.174
Fe 0.641 0.963 0.826
Fe 0.683 0.683 0.245
Fe 0.683 0.683 0.755
Fe 0.724 0.934 0.373
Fe 0.724 0.934 0.627
Fe 0.774 0.434 0.121
Fe 0.774 0.434 0.879
Fe 0.816 0.184 0.253
Fe 0.816 0.184 0.747
Fe 0.858 0.463 0.324
Fe 0.858 0.463 0.676
Fe 0.903 0.903 0.200
Fe 0.903 0.903 0.800
Fe 0.934 0.724 0.373
Fe 0.934 0.724 0.627
Fe 0.963 0.641 0.174
Fe 0.963 0.641 0.826
B 0.126 0.126 0.500
B 0.874 0.874 0.500
C 0.374 0.626 0.000
C 0.626 0.374 0.000

Formation enthalpy at 0 K in meV/atom: -90
Total moment in μB per formula unit: 61.5
V in Å³ per atom: 13.3
Space group: Cmmm (65)

=====

[3]
The following is a DFT calculation (PBE-GGA) of an optimized crystal structure of DyNi2B2C.

a b c (Å): 3.549 3.549 10.335
angles (deg): 90.00 90.00 90.00
Element x y z (fractional)
Dy 0.000 0.000 0.000
Dy 0.500 0.500 0.500
Ni 0.000 0.500 0.250
Ni 0.000 0.500 0.750
Ni 0.500 0.000 0.250
Ni 0.500 0.000 0.750
B 0.000 0.000 0.356
B 0.000 0.000 0.644
B 0.500 0.500 0.144
B 0.500 0.500 0.856
C 0.000 0.000 0.500
C 0.500 0.500 0.000

Formation enthalpy at 0 K in meV/atom: -516
Total moment in μB per formula unit: 0.0
V in Å³ per atom: 10.8
Space group: I4/mmm (139)

=====

[4]
The following is a DFT calculation (PBE-GGA) of an optimized crystal structure of DyB2Rh2C.

a b c (Å): 3.813 3.813 10.263
angles (deg): 90.00 90.00 90.00
Element x y z (fractional)
Dy 0.000 0.000 0.000
Dy 0.500 0.500 0.500
B 0.000 0.000 0.354
B 0.000 0.000 0.646
B 0.500 0.500 0.146
B 0.500 0.500 0.854
Rh 0.000 0.500 0.250
Rh 0.000 0.500 0.750
Rh 0.500 0.000 0.250
Rh 0.500 0.000 0.750
C 0.000 0.000 0.500
C 0.500 0.500 0.000

Formation enthalpy at 0 K in meV/atom: -590
Total moment in μB per formula unit: 0.0
V in Å³ per atom: 12.4
Space group: I4/mmm (139)

=====

[5]
The following is a DFT calculation (PBE-GGA) of an optimized crystal structure of Er2B4C.

a b c (Å): 3.259 6.560 7.421
angles (deg): 90.00 90.00 90.00
Element x y z (fractional)
Er 0.000 0.000 0.234
Er 0.000 0.000 0.766
Er 0.500 0.500 0.266
Er 0.500 0.500 0.734
B 0.000 0.272 0.500
B 0.000 0.366 0.000
B 0.000 0.634 0.000
B 0.000 0.728 0.500
B 0.500 0.134 0.500
B 0.500 0.228 0.000
B 0.500 0.772 0.000
B 0.500 0.866 0.500
C 0.000 0.500 0.500
C 0.500 0.000 0.000

Formation enthalpy at 0 K in meV/atom: -589
V in Å³ per atom: 11.3
Space group: Immm (71)

=====

[6]
The following is a DFT calculation (PBE-GGA) of an optimized crystal structure of ErB2Rh2C.

a b c (Å): 3.788 3.788 10.342
angles (deg): 90.00 90.00 90.00
Element x y z (fractional)
Er 0.000 0.000 0.000
Er 0.500 0.500 0.500
B 0.000 0.000 0.356
B 0.000 0.000 0.644
B 0.500 0.500 0.144
B 0.500 0.500 0.856
Rh 0.000 0.500 0.250
Rh 0.000 0.500 0.750
Rh 0.500 0.000 0.250
Rh 0.500 0.000 0.750
C 0.000 0.000 0.500
C 0.500 0.500 0.000

Formation enthalpy at 0 K in meV/atom: -578
Total moment in μB per formula unit: 0.0
V in Å³ per atom: 12.4
Space group: I4/mmm (139)

=====

[7]
The following is a DFT calculation (PBE-GGA) of an optimized crystal structure of BP4H36RhC36F20.

a b c (Å): 12.276 12.788 16.051
angles (deg): 104.72 109.83 98.46
Element x y z (fractional)
B 0.105 0.328 0.256
B 0.895 0.672 0.744
P 0.274 0.107 0.637
P 0.334 0.124 0.867
P 0.393 0.385 0.744
P 0.405 0.722 0.115
P 0.595 0.278 0.885
P 0.607 0.615 0.256
P 0.666 0.876 0.133
P 0.726 0.893 0.363
H 0.070 0.129 0.588
H 0.104 0.066 0.489
H 0.123 0.052 0.763
H 0.143 0.080 0.883
H 0.155 0.192 0.836
H 0.155 0.945 0.650
H 0.160 0.213 0.550
H 0.175 0.346 0.684
H 0.175 0.911 0.542
H 0.220 0.685 0.141
H 0.230 0.600 0.977
H 0.242 0.417 0.807
H 0.243 0.493 0.728
H 0.254 0.810 0.042
H 0.295 0.924 0.648
H 0.301 0.924 0.795
H 0.302 0.956 0.911
H 0.323 0.033 0.502
H 0.326 0.343 0.574
H 0.329 0.628 0.207
H 0.336 0.524 0.019
H 0.343 0.151 0.025
H 0.343 0.775 0.246
H 0.363 0.612 0.954
H 0.371 0.281 0.005
H 0.381 0.911 0.137
H 0.388 0.490 0.636
H 0.388 0.851 0.026
H 0.391 0.180 0.558
H 0.411 0.483 0.166
H 0.440 0.981 0.894
H 0.453 0.082 0.609
H 0.473 0.587 0.809
H 0.484 0.398 0.633
H 0.486 0.209 0.027
H 0.496 0.524 0.899
H 0.504 0.476 0.101
H 0.514 0.791 0.973
H 0.516 0.602 0.367
H 0.527 0.413 0.191
H 0.547 0.918 0.391
H 0.560 0.019 0.106
H 0.589 0.517 0.834
H 0.609 0.820 0.442
H 0.612 0.149 0.974
H 0.612 0.510 0.364
H 0.619 0.089 0.863
H 0.629 0.719 0.995
H 0.637 0.388 0.046
H 0.657 0.225 0.754
H 0.657 0.849 0.975
H 0.664 0.476 0.981
H 0.671 0.372 0.793
H 0.674 0.657 0.426
H 0.677 0.967 0.498
H 0.698 0.044 0.089
H 0.699 0.076 0.205
H 0.705 0.076 0.352
H 0.746 0.190 0.958
H 0.757 0.507 0.272
H 0.758 0.583 0.193
H 0.770 0.400 0.023
H 0.780 0.315 0.859
H 0.825 0.089 0.458
H 0.825 0.654 0.316
H 0.840 0.787 0.450
H 0.845 0.055 0.350
H 0.845 0.808 0.164
H 0.857 0.920 0.117
H 0.877 0.948 0.237
H 0.896 0.934 0.511
H 0.930 0.871 0.412
Rh 0.398 0.225 0.785
Rh 0.602 0.775 0.215
C 0.007 0.680 0.707
C 0.015 0.824 0.913
C 0.019 0.342 0.389
C 0.028 0.808 0.063
C 0.046 0.300 0.985
C 0.057 0.285 0.138
C 0.057 0.872 0.011
C 0.065 0.655 0.571
C 0.087 0.343 0.083
C 0.113 0.544 0.283
C 0.129 0.696 0.760
C 0.139 0.131 0.558
C 0.156 0.659 0.327
C 0.161 0.150 0.311
C 0.173 0.111 0.834
C 0.175 0.464 0.307
C 0.185 0.672 0.628
C 0.191 0.241 0.283
C 0.217 0.693 0.723
C 0.219 0.957 0.618
C 0.229 0.071 0.321
C 0.249 0.413 0.740
C 0.269 0.702 0.400
C 0.287 0.513 0.382
C 0.295 0.246 0.264
C 0.315 0.700 0.184
C 0.326 0.603 0.006
C 0.332 0.081 0.303
C 0.335 0.628 0.428
C 0.346 0.983 0.867
C 0.352 0.835 0.077
C 0.365 0.170 0.274
C 0.369 0.100 0.570
C 0.389 0.198 0.993
C 0.398 0.406 0.637
C 0.498 0.516 0.830
C 0.502 0.484 0.170
C 0.602 0.594 0.363
C 0.611 0.802 0.007
C 0.631 0.900 0.430
C 0.635 0.830 0.726
C 0.648 0.165 0.923
C 0.654 0.017 0.133
C 0.665 0.372 0.572
C 0.668 0.919 0.697
C 0.674 0.397 0.994
C 0.685 0.300 0.816
C 0.705 0.754 0.736
C 0.713 0.487 0.618
C 0.731 0.298 0.600
C 0.751 0.587 0.260
C 0.771 0.929 0.679
C 0.781 0.043 0.382
C 0.783 0.307 0.277
C 0.809 0.759 0.717
C 0.815 0.328 0.372
C 0.825 0.536 0.693
C 0.827 0.889 0.166
C 0.839 0.850 0.689
C 0.844 0.341 0.673
C 0.861 0.869 0.442
C 0.871 0.304 0.240
C 0.887 0.456 0.717
C 0.913 0.657 0.917
C 0.935 0.345 0.429
C 0.943 0.128 0.989
C 0.943 0.715 0.862
C 0.954 0.700 0.015
C 0.972 0.192 0.937
C 0.981 0.658 0.611
C 0.985 0.176 0.087
C 0.993 0.320 0.293
F 0.002 0.508 0.212
F 0.032 0.634 0.477
F 0.050 0.891 0.868
F 0.061 0.129 0.329
F 0.072 0.851 0.157
F 0.078 0.362 0.935
F 0.089 0.729 0.300
F 0.129 0.977 0.055
F 0.135 0.361 0.450
F 0.162 0.448 0.121
F 0.171 0.715 0.854
F 0.192 0.983 0.346
F 0.269 0.669 0.591
F 0.314 0.814 0.444
F 0.331 0.329 0.233
F 0.333 0.710 0.780
F 0.357 0.448 0.418
F 0.398 0.005 0.311
F 0.443 0.669 0.501
F 0.464 0.181 0.253
F 0.536 0.819 0.747
F 0.557 0.331 0.499
F 0.602 0.995 0.689
F 0.643 0.552 0.582
F 0.667 0.290 0.220
F 0.669 0.671 0.767
F 0.686 0.186 0.556
F 0.731 0.331 0.409
F 0.808 0.017 0.654
F 0.829 0.285 0.146
F 0.838 0.552 0.879
F 0.865 0.639 0.550
F 0.871 0.023 0.945
F 0.911 0.271 0.700
F 0.922 0.638 0.065
F 0.928 0.149 0.843
F 0.939 0.871 0.671
F 0.950 0.109 0.132
F 0.968 0.366 0.523
F 0.998 0.492 0.788

Formation enthalpy at 0 K in meV/atom: -541
Total moment in μB per formula unit: 0.0
Energy with MP2020 corrections in eV/cell: -1162.7
V in Å³ per atom: 11.3
Space group: P-1 (2)

=====

[8]
The following is a DFT calculation (PBE-GGA) of an optimized crystal structure of KBC4F12.

a b c (Å): 9.212 9.702 10.161
angles (deg): 90.00 90.00 90.00
Element x y z (fractional)
K 0.026 0.023 0.497
K 0.474 0.977 0.997
K 0.526 0.477 0.503
K 0.974 0.523 0.003
B 0.013 0.987 0.986
B 0.487 0.013 0.486
B 0.513 0.513 0.014
B 0.987 0.487 0.514
C 0.043 0.909 0.128
C 0.083 0.894 0.866
C 0.091 0.140 0.987
C 0.163 0.504 0.540
C 0.337 0.496 0.040
C 0.409 0.860 0.487
C 0.417 0.106 0.366
C 0.457 0.091 0.628
C 0.543 0.591 0.872
C 0.583 0.606 0.134
C 0.591 0.360 0.013
C 0.663 0.996 0.460
C 0.837 0.004 0.960
C 0.909 0.640 0.513
C 0.917 0.394 0.634
C 0.957 0.409 0.372
F 0.003 0.987 0.236
F 0.017 0.238 0.061
F 0.032 0.286 0.357
F 0.037 0.934 0.743
F 0.052 0.755 0.873
F 0.105 0.197 0.865
F 0.186 0.875 0.149
F 0.197 0.593 0.641
F 0.230 0.139 0.039
F 0.232 0.382 0.573
F 0.233 0.899 0.859
F 0.239 0.552 0.432
F 0.261 0.448 0.932
F 0.267 0.101 0.359
F 0.268 0.618 0.073
F 0.270 0.861 0.539
F 0.303 0.407 0.141
F 0.314 0.125 0.649
F 0.395 0.803 0.365
F 0.448 0.245 0.373
F 0.463 0.066 0.243
F 0.468 0.714 0.857
F 0.483 0.762 0.561
F 0.497 0.013 0.736
F 0.503 0.513 0.764
F 0.517 0.262 0.939
F 0.532 0.214 0.643
F 0.537 0.566 0.257
F 0.552 0.745 0.127
F 0.605 0.303 0.135
F 0.686 0.625 0.851
F 0.697 0.907 0.359
F 0.730 0.361 0.961
F 0.732 0.118 0.427
F 0.733 0.601 0.141
F 0.739 0.948 0.568
F 0.761 0.052 0.068
F 0.767 0.399 0.641
F 0.768 0.882 0.927
F 0.770 0.639 0.461
F 0.803 0.093 0.859
F 0.814 0.375 0.351
F 0.895 0.697 0.635
F 0.948 0.255 0.627
F 0.963 0.434 0.757
F 0.968 0.786 0.143
F 0.983 0.738 0.439
F 0.997 0.487 0.264

Formation enthalpy at 0 K in meV/atom: -1947
Total moment in μB per formula unit: 0.0
Energy with MP2020 corrections in eV/cell: -410.9
V in Å³ per atom: 12.6
Space group: P2_12_12_1 (19)

=====

- Among the records above, which one has the highest V?
  DyBC

=====

- Which of these has the lowest formation enthalpy at 0 K?
  KBC4F12

=====

What did the second record say?
The following is a DFT calculation (PBE-GGA) of an optimized crystal structure of Dy4Fe28BC.

a b c (Å): 8.734 8.734 11.859
angles (deg): 90.00 90.00 90.03
Element x y z (fractional)
Dy 0.144 0.856 0.000
Dy 0.233 0.767 0.500
Dy 0.262 0.262 0.000
Dy 0.357 0.357 0.500
Dy 0.643 0.643 0.500
Dy 0.738 0.738 0.000
Dy 0.767 0.233 0.500
Dy 0.856 0.144 0.000
Fe 0.000 0.000 0.384
Fe 0.000 0.000 0.616
Fe 0.000 0.500 0.000
Fe 0.000 0.500 0.500
Fe 0.037 0.359 0.174
Fe 0.037 0.359 0.826
Fe 0.066 0.276 0.373
Fe 0.066 0.276 0.627
Fe 0.097 0.097 0.200
Fe 0.097 0.097 0.800
Fe 0.142 0.537 0.324
Fe 0.142 0.537 0.676
Fe 0.184 0.816 0.253
Fe 0.184 0.816 0.747
Fe 0.226 0.566 0.121
Fe 0.226 0.566 0.879
Fe 0.276 0.066 0.373
Fe 0.276 0.066 0.627
Fe 0.317 0.317 0.245
Fe 0.317 0.317 0.755
Fe 0.359 0.037 0.174
Fe 0.359 0.037 0.826
Fe 0.403 0.597 0.296
Fe 0.403 0.597 0.704
Fe 0.434 0.774 0.121
Fe 0.434 0.774 0.879
Fe 0.463 0.858 0.324
Fe 0.463 0.858 0.676
Fe 0.500 0.000 0.000
Fe 0.500 0.000 0.500
Fe 0.500 0.500 0.108
Fe 0.500 0.500 0.892
Fe 0.537 0.142 0.324
Fe 0.537 0.142 0.676
Fe 0.566 0.226 0.121
Fe 0.566 0.226 0.879
Fe 0.597 0.403 0.296
Fe 0.597 0.403 0.704
Fe 0.641 0.963 0.174
Fe 0.641 0.963 0.826
Fe 0.683 0.683 0.245
Fe 0.683 0.683 0.755
Fe 0.724 0.934 0.373
Fe 0.724 0.934 0.627
Fe 0.774 0.434 0.121
Fe 0.774 0.434 0.879
Fe 0.816 0.184 0.253
Fe 0.816 0.184 0.747
Fe 0.858 0.463 0.324
Fe 0.858 0.463 0.676
Fe 0.903 0.903 0.200
Fe 0.903 0.903 0.800
Fe 0.934 0.724 0.373
Fe 0.934 0.724 0.627
Fe 0.963 0.641 0.174
Fe 0.963 0.641 0.826
B 0.126 0.126 0.500
B 0.874 0.874 0.500
C 0.374 0.626 0.000
C 0.626 0.374 0.000

Formation enthalpy at 0 K in meV/atom: -90
Total moment in μB per formula unit: 61.5
V in Å³ per atom: 13.3
Space group: Cmmm (65)

=====

- The lowest formation enthalpy at 0 K belongs to which entry?
  KBC4F12